First-principles (PBE+U) data for a relaxed Sr2ZrVO6 crystal, as listed in the Materials Project database.

Lattice parameters (Å, degrees): 5.6892 5.7125 18.9248 98.29 90.13 119.46
With the nearest neighbours (Å) after each atom.
Space group P1 (No. 1)
Symmetry-distinct sites (fractional):
Sr: 0.0000 0.0000 0.0000 [1 per cell]  6 O 2.60-2.77
Sr: 0.0921 0.2343 0.3751 [1 per cell]  8 O 2.59-2.90
Sr: 0.2583 0.5011 0.7493 [1 per cell]  8 O 2.58-2.87
Sr: 0.3581 0.7395 0.1237 [1 per cell]  6 O 2.60-2.81
Sr: 0.4828 0.9866 0.4991 [1 per cell]  7 O 2.58-2.86
Sr: 0.6276 0.2485 0.8763 [1 per cell]  5 O 2.58-2.81
Sr: 0.7238 0.4880 0.2483 [1 per cell]  6 O 2.58-2.86
Sr: 0.8665 0.7448 0.6247 [1 per cell]  7 O 2.59-2.86
Zr: 0.1742 0.3664 0.5623 [1 per cell]  6 O 2.09-2.13
Zr: 0.4100 0.8618 0.3125 [1 per cell]  6 O 2.06-2.17
Zr: 0.6792 0.3693 0.0622 [1 per cell]  6 O 2.09-2.13
Zr: 0.9414 0.8740 0.8113 [1 per cell]  6 O 2.06-2.18
V: 0.0440 0.1172 0.1875 [1 per cell]  6 O 1.88-2.02
V: 0.3104 0.6213 0.9365 [1 per cell]  6 O 1.88-2.01
V: 0.5591 0.1216 0.6871 [1 per cell]  6 O 1.89-2.03
V: 0.7912 0.6113 0.4370 [1 per cell]  6 O 1.89-2.03
O: 0.0227 0.4976 0.0045 [1 per cell]  1 V 1.99, 1 Zr 2.09
O: 0.0318 0.5347 0.4936 [1 per cell]  1 V 1.98, 1 Zr 2.10
O: 0.0384 0.7198 0.3655 [1 per cell]  1 V 1.89
O: 0.0935 0.6798 0.8745 [1 per cell]  1 V 1.88
O: 0.1517 0.2343 0.8859 [1 per cell]  1 V 2.01, 1 Zr 2.10
O: 0.2008 0.5052 0.2367 [1 per cell]  1 V 2.01, 1 Zr 2.09
O: 0.2536 0.0598 0.2522 [1 per cell]  1 V 1.88
O: 0.3157 0.0119 0.7594 [1 per cell]  1 V 1.89
O: 0.3172 0.2008 0.6316 [1 per cell]  1 V 1.99, 1 Zr 2.09
O: 0.3382 0.2375 0.1209 [1 per cell]  1 V 2.00, 1 Zr 2.09
O: 0.3610 0.7350 0.6349 [1 per cell]  1 V 2.01, 1 Zr 2.10
O: 0.4722 0.0070 0.9876 [1 per cell]  1 V 2.01, 1 Zr 2.10
O: 0.5340 0.5618 0.0001 [1 per cell]  1 V 1.93, 1 Zr 2.13
O: 0.5377 0.5106 0.5089 [1 per cell]  1 V 1.92, 1 Zr 2.13
O: 0.5439 0.6867 0.3784 [1 per cell]  1 V 2.03, 1 Zr 2.06
O: 0.5949 0.2252 0.3870 [1 per cell]  1 V 1.99, 1 Zr 2.10
O: 0.6039 0.7418 0.8686 [1 per cell]  1 V 2.01, 1 Zr 2.06
O: 0.7446 0.0002 0.2540 [1 per cell]  1 V 2.02, 1 Zr 2.06
O: 0.7587 0.5076 0.7379 [1 per cell]  1 V 2.00, 1 Zr 2.10
O: 0.8092 0.2237 0.6144 [1 per cell]  1 V 1.92, 1 Zr 2.13
O: 0.8103 0.0454 0.7436 [1 per cell]  1 V 2.03, 1 Zr 2.06
O: 0.8258 0.1722 0.1219 [1 per cell]  1 V 1.92, 1 Zr 2.13
O: 0.8839 0.7292 0.1370 [1 per cell]  1 V 2.01, 1 Zr 2.10
O: 0.9876 0.9987 0.4893 [1 per cell]  1 V 2.01, 1 Zr 2.10

Properties
Its MP2020-corrected energy is -0.6138 Ry/atom. Its spin magnetization is 1.00 μB/f.u.

---

First-principles (PBE+U) data for a relaxed Sr2ZrVO6 crystal, as listed in the Materials Project database.

Lattice parameters (Å, degrees): 5.7134 8.1645 11.4074 90.00 90.01 90.00
With the nearest neighbours (Å) after each atom.
Space group Pm (No. 6)
Symmetry-distinct sites (fractional):
Sr: 0.0000 0.2492 0.0000 [2 per cell]  12 O 2.77-2.97
Sr: 0.0007 0.2493 0.5003 [2 per cell]  12 O 2.78-3.00
Sr: 0.4994 0.2508 0.7492 [2 per cell]  12 O 2.79-2.96
Sr: 0.5017 0.2500 0.2492 [2 per cell]  12 O 2.76-2.98
Zr: 0.0017 0.0000 0.2493 [1 per cell]  6 O 2.05-2.16
Zr: 0.4982 0.5000 0.0005 [1 per cell]  6 O 2.05-2.16
Zr: 0.5024 0.5000 0.4997 [1 per cell]  6 O 2.05-2.16
Zr: 0.9991 0.0000 0.7493 [1 per cell]  6 O 2.05-2.16
V: 0.0034 0.5000 0.2504 [1 per cell]  6 O 1.88-2.01
V: 0.4978 0.0000 0.9991 [1 per cell]  6 O 1.88-2.00
V: 0.5030 0.0000 0.4991 [1 per cell]  6 O 1.88-2.00
V: 0.9974 0.5000 0.7503 [1 per cell]  6 O 1.88-2.01
O: 0.0102 0.2559 0.2498 [2 per cell]  1 V 1.99, 1 Zr 2.09
O: 0.2165 0.5000 0.1229 [1 per cell]  1 V 1.90
O: 0.2208 0.5000 0.8712 [1 per cell]  1 V 1.88
O: 0.2392 0.0000 0.8833 [1 per cell]  1 V 1.98, 1 Zr 2.05
O: 0.2440 0.0000 0.6170 [1 per cell]  1 V 2.00, 1 Zr 2.06
O: 0.2565 0.5000 0.6316 [1 per cell]  1 V 2.01, 1 Zr 2.06
O: 0.2686 0.5000 0.3629 [1 per cell]  1 V 1.99, 1 Zr 2.05
O: 0.2764 0.0000 0.1234 [1 per cell]  1 V 1.90, 1 Zr 2.13
O: 0.2801 0.0000 0.3777 [1 per cell]  1 V 1.88
O: 0.4901 0.2441 0.9998 [2 per cell]  1 V 1.99, 1 Zr 2.09
O: 0.5104 0.2441 0.4996 [2 per cell]  1 V 1.99, 1 Zr 2.09
O: 0.7209 0.0000 0.8778 [1 per cell]  1 V 1.88
O: 0.7234 0.0000 0.6237 [1 per cell]  1 V 1.90
O: 0.7375 0.5000 0.1353 [1 per cell]  1 V 2.01, 1 Zr 2.06
O: 0.7387 0.5000 0.8666 [1 per cell]  1 V 1.99, 1 Zr 2.05
O: 0.7559 0.0000 0.1174 [1 per cell]  1 V 2.00, 1 Zr 2.06
O: 0.7618 0.0000 0.3834 [1 per cell]  1 V 1.98, 1 Zr 2.05
O: 0.7771 0.5000 0.6261 [1 per cell]  1 V 1.89
O: 0.7865 0.5000 0.3744 [1 per cell]  1 V 1.88
O: 0.9902 0.2559 0.7496 [2 per cell]  1 V 1.99, 1 Zr 2.09

Properties
Its MP2020-corrected energy is -0.6132 Ry/atom. Its spin magnetization is 0.00 μB/f.u.

---

First-principles (PBE+U) data for a relaxed Sr2ZrVO6 crystal, as listed in the Materials Project database.

Lattice parameters (Å, degrees): 8.0727 8.1468 16.1440 90.00 90.00 90.00
With the nearest neighbours (Å) after each atom.
Space group Imma (No. 74)
Symmetry-distinct sites (fractional):
Sr: 0.2469 0.0000 0.0000 [8 per cell]  12 O 2.85-2.89
Sr: 0.2500 0.0024 0.2500 [8 per cell]  12 O 2.83-2.89
Zr: 0.0000 0.2500 0.1244 [4 per cell]  6 O 2.07-2.15
Zr: 0.0000 0.2500 0.6252 [4 per cell]  6 O 2.05-2.12
V: 0.0000 0.2500 0.3753 [4 per cell]  6 O 1.90-1.99
V: 0.0000 0.2500 0.8740 [4 per cell]  6 O 1.92-1.98
O: 0.0000 0.0054 0.3772 [8 per cell]  1 V 1.99, 1 Zr 2.08
O: 0.0000 0.0070 0.8730 [8 per cell]  1 V 1.98, 1 Zr 2.09
O: 0.0000 0.2500 0.2576 [4 per cell]  1 V 1.90
O: 0.0000 0.2500 0.4937 [4 per cell]  1 V 1.91, 1 Zr 2.12
O: 0.0000 0.2500 0.7522 [4 per cell]  1 V 1.97, 1 Zr 2.05
O: 0.0000 0.2500 0.9965 [4 per cell]  1 V 1.98, 1 Zr 2.07
O: 0.2372 0.2500 0.8755 [8 per cell]  1 V 1.92, 1 Zr 2.12
O: 0.2435 0.2500 0.3740 [8 per cell]  1 V 1.97, 1 Zr 2.07

Properties
Its MP2020-corrected energy is -0.6130 Ry/atom. Its spin magnetization is 1.00 μB/f.u.

---

First-principles (PBE+U) data for a relaxed Sr3W2O9 crystal, as listed in the Materials Project database.

Lattice parameters (Å, degrees): 9.9177 9.9177 13.8143 90.00 90.00 120.00
With the nearest neighbours (Å) after each atom.
Space group R-3c (No. 167, hexagonal axes)
Symmetry-distinct sites (fractional):
Sr: 0.0000 0.3266 0.2500 [18 per cell]  12 O 2.74-2.95
W: 0.0000 0.0000 0.1435 [12 per cell]  3 O 1.85
O: 0.0000 0.1513 0.7500 [18 per cell]  2 W 2.10
O: 0.0028 0.1702 0.4130 [36 per cell]  1 W 1.85

Properties
Its MP2020-corrected energy is -0.5999 Ry/atom. Its spin magnetization is 0.00 μB/f.u. As for the relative energy among the computed polymorphs: 0.000 eV/atom.

---

First-principles (PBE+U) data for a relaxed Sr5W3O14 crystal, as listed in the Materials Project database.

Lattice parameters (Å, degrees): 10.8218 11.0653 10.9117 90.00 90.00 90.00
With the nearest neighbours (Å) after each atom.
Space group Pbca (No. 61)
Symmetry-distinct sites (fractional):
Sr: 0.0000 0.0000 0.0000 [4 per cell]  6 O 2.59-2.83
Sr: 0.0145 0.2432 0.2583 [8 per cell]  4 O 2.43-2.54
Sr: 0.2494 0.7239 0.5028 [8 per cell]  5 O 2.44-2.53
W: 0.0000 0.0000 0.5000 [4 per cell]  6 O 1.92-1.98
W: 0.2461 0.0023 0.7529 [8 per cell]  6 O 1.93-2.00
O: 0.0450 0.6673 0.0087 [8 per cell]  1 W 1.92
O: 0.1173 0.0482 0.6299 [8 per cell]  2 W 1.98-2.00
O: 0.1267 0.0405 0.3782 [8 per cell]  2 W 1.96-2.00
O: 0.1349 0.6087 0.3376 [8 per cell]  1 W 1.95
O: 0.1405 0.6109 0.6706 [8 per cell]  1 W 1.94
O: 0.1752 0.1263 0.8569 [8 per cell]  1 W 1.94
O: 0.1844 0.1243 0.1526 [8 per cell]  1 W 1.93

Properties
Its MP2020-corrected energy is -0.5986 Ry/atom. Its spin magnetization is 0.00 μB/f.u.

---

First-principles (PBE+U) data for a relaxed Sr2WO5 crystal, as listed in the Materials Project database.

Lattice parameters (Å, degrees): 7.3826 5.6158 11.0999 90.00 90.00 90.00
With the nearest neighbours (Å) after each atom.
Space group Pnma (No. 62)
Symmetry-distinct sites (fractional):
Sr: 0.0130 0.2500 0.2238 [4 per cell]  4 O 2.47-2.67
Sr: 0.1761 0.7500 0.4176 [4 per cell]  3 O 2.53-2.55
W: 0.1827 0.7500 0.0634 [4 per cell]  6 O 1.87-2.07
O: 0.0000 0.0000 0.0000 [4 per cell]  2 W 2.07
O: 0.0430 0.7500 0.2073 [4 per cell]  1 W 1.90
O: 0.1625 0.0012 0.6087 [8 per cell]  1 W 1.87
O: 0.2279 0.2500 0.3943 [4 per cell]  1 W 1.99

Properties
Its MP2020-corrected energy is -0.5906 Ry/atom.

---

First-principles (PBE+U) data for a relaxed Sr3W2O9 crystal, as listed in the Materials Project database.

Lattice parameters (Å, degrees): 9.1478 8.1600 16.5861 90.00 90.00 90.00
With the nearest neighbours (Å) after each atom.
Space group Pnma (No. 62)
Symmetry-distinct sites (fractional):
Sr: 0.0000 0.0000 0.0000 [4 per cell]  2 O 2.35
Sr: 0.1840 0.2500 0.4188 [4 per cell]  5 O 2.38-2.64
Sr: 0.2202 0.7500 0.1446 [4 per cell]  3 O 2.31-2.44
W: 0.1549 0.7500 0.3975 [4 per cell]  4 O 1.80-1.82
W: 0.2445 0.2500 0.1666 [4 per cell]  4 O 1.80-1.84
O: 0.0402 0.2500 0.5799 [4 per cell]  1 W 1.82
O: 0.0781 0.7500 0.6194 [4 per cell]  1 W 1.80
O: 0.1238 0.7500 0.0158 [4 per cell]  4 Sr 2.31-2.38
O: 0.1474 0.0639 0.1352 [8 per cell]  1 W 1.84
O: 0.1771 0.7500 0.2898 [4 per cell]  1 W 1.80
O: 0.2315 0.7500 0.7750 [4 per cell]  1 W 1.81
O: 0.2421 0.5654 0.4361 [8 per cell]  1 W 1.82

Properties
Its MP2020-corrected energy is -0.5973 Ry/atom. Its spin magnetization is 0.00 μB/f.u. As for the relative energy among the computed polymorphs: 0.035 eV/atom.

---

First-principles (PBE+U) data for a relaxed Sr5W3O14 crystal, as listed in the Materials Project database.

Lattice parameters (Å, degrees): 10.9124 10.8333 11.0754 90.00 90.11 90.00
With the nearest neighbours (Å) after each atom.
Space group Cc (No. 9)
Symmetry-distinct sites (fractional):
Sr: 0.0000 0.0018 0.0000 [4 per cell]  5 O 2.44-2.54
Sr: 0.0001 0.4966 0.0502 [4 per cell]  5 O 2.44-2.52
Sr: 0.0034 0.2533 0.2795 [4 per cell]  6 O 2.61-2.84
Sr: 0.2402 0.2631 0.5351 [4 per cell]  4 O 2.43-2.53
Sr: 0.2489 0.2370 0.0239 [4 per cell]  4 O 2.44-2.53
W: 0.2484 0.4984 0.7754 [4 per cell]  6 O 1.93-2.02
W: 0.2490 0.0031 0.7766 [4 per cell]  6 O 1.93-2.03
W: 0.4960 0.2496 0.2752 [4 per cell]  6 O 1.91-2.00
O: 0.0045 0.2053 0.6077 [4 per cell]  1 W 1.92
O: 0.0070 0.2938 0.9422 [4 per cell]  1 W 1.91
O: 0.1264 0.1282 0.8179 [4 per cell]  2 W 1.96-2.00
O: 0.1255 0.3731 0.7310 [4 per cell]  2 W 1.97-2.00
O: 0.1496 0.4294 0.4023 [4 per cell]  1 W 1.94
O: 0.1518 0.0682 0.1486 [4 per cell]  1 W 1.93
O: 0.1659 0.3867 0.1671 [4 per cell]  1 W 1.95
O: 0.1681 0.1107 0.3859 [4 per cell]  1 W 1.94
O: 0.3355 0.3890 0.8851 [4 per cell]  1 W 1.94
O: 0.3374 0.1132 0.6675 [4 per cell]  1 W 1.95
O: 0.3506 0.4309 0.6495 [4 per cell]  1 W 1.93
O: 0.3532 0.0722 0.9015 [4 per cell]  1 W 1.94
O: 0.3744 0.1275 0.2324 [4 per cell]  2 W 1.93-2.03
O: 0.3740 0.3713 0.3181 [4 per cell]  2 W 1.93-2.02

Properties
Its MP2020-corrected energy is -0.5986 Ry/atom. Its spin magnetization is 0.00 μB/f.u.

---

VASP energy? In order: -0.571, -0.570, -0.570, -0.521, -0.522, -0.518, -0.518, -0.522 Ry per atom.
Volume? In order: 13.2, 13.3, 13.3, 14.0, 14.8, 14.4, 22.1, 14.9 Å³/atom.